Here is a relaxed structure of Na2Ca2Si3O9 from the Materials Project. Energies are from PBE.

Values from the calculation:
offset from the most stable computed form	0.0377	eV per atom
formation energy	-3122	meV per atom
energy	-6.95	eV/atom
total magnetization	0.00	Bohr magnetons per cell
calculated volume	13.7	Å³ per atom

a = 7.5948 Å, b = 7.5948 Å, c = 7.5948 Å
α = 88.79°, β = 88.79°, γ = 88.79°
Positions (direct):
1 O 0.2066 0.5626 0.2066
2 O 0.2095 0.2095 0.9261
3 O 0.4370 0.7966 0.7966
4 O 0.2066 0.2066 0.5626
5 O 0.7519 0.2501 0.5009
6 O 0.7919 0.0724 0.7919
7 O 0.2095 0.9261 0.2095
8 O 0.7919 0.7919 0.0724
9 O 0.0724 0.7919 0.7919
10 O 0.9261 0.2095 0.2095
11 O 0.7966 0.7966 0.4370
12 O 0.7519 0.5009 0.2501
13 O 0.2501 0.5009 0.7519
14 O 0.5009 0.7519 0.2501
15 O 0.5626 0.2066 0.2066
16 O 0.5009 0.2501 0.7519
17 O 0.2501 0.7519 0.5009
18 O 0.7966 0.4370 0.7966
19 Si 0.2841 0.7383 0.2841
20 Si 0.7383 0.2841 0.2841
21 Si 0.2594 0.7194 0.7194
22 Si 0.7194 0.7194 0.2594
23 Si 0.2841 0.2841 0.7383
24 Si 0.7194 0.2594 0.7194
25 Ca 0.9978 0.9978 0.9978
26 Ca 0.0117 0.0117 0.4666
27 Ca 0.0117 0.4666 0.0117
28 Ca 0.4666 0.0117 0.0117
29 Na 0.4854 0.4854 0.0186
30 Na 0.7546 0.7546 0.7546
31 Na 0.0186 0.4854 0.4854
32 Na 0.4854 0.0186 0.4854